Record 1
The following is a GGA-PBE calculation of La2SnHg after structural relaxation, from Materials Project.

Structure (extended XYZ):
```
4
Lattice="0.000 3.936 3.936 3.936 0.000 3.936 3.936 3.936 0.000" Properties=species:S:1:pos:R:3 pbc="T T T"
La 1.968 1.968 1.968
La 5.904 5.904 5.904
Sn 0.000 0.000 0.000
Hg 3.936 3.936 3.936
```

SG = Fm-3m

Record 2
The following is a GGA-PBE calculation of LaTlHg2 after structural relaxation, from Materials Project.

Structure (extended XYZ):
```
4
Lattice="0.000 3.800 3.800 3.800 0.000 3.800 3.800 3.800 0.000" Properties=species:S:1:pos:R:3 pbc="T T T"
La 0.000 0.000 0.000
Tl 3.800 3.800 3.800
Hg 1.900 1.900 1.900
Hg 5.700 5.700 5.700
```

SG = Fm-3m

| no. | calculated formation energy (eV/atom) |
| --- | --- |
| 1 | -0.644 |
| 2 | -0.407 |